# VSb3P4O16

A relaxed structure of VSb3P4O16 (PBE+U, Materials Project).

crystal system = triclinic
theoretical density = 3.89 g cm⁻³
largest piezoelectric modulus = 0.591 C/m2

a = 4.894 Å, b = 10.171 Å, c = 6.856 Å
α = 89.96°, β = 90.16°, γ = 94.52°
Fractional positions:
1 V 0.931 0.271 0.249
2 Sb 0.095 0.715 0.751
3 Sb 0.406 0.201 0.749
4 Sb 0.589 0.797 0.251
5 P 0.117 0.599 0.250
6 P 0.322 0.102 0.250
7 P 0.691 0.911 0.750
8 P 0.869 0.391 0.751
9 O 0.123 0.449 0.250
10 O 0.283 0.669 0.076
11 O 0.286 0.669 0.423
12 O 0.181 0.375 0.750
13 O 0.374 0.900 0.750
14 O 0.187 0.176 0.077
15 O 0.188 0.177 0.424
16 O 0.248 0.954 0.250
17 O 0.792 0.056 0.750
18 O 0.807 0.827 0.575
19 O 0.809 0.827 0.924
20 O 0.635 0.133 0.250
21 O 0.815 0.629 0.250
22 O 0.720 0.317 0.571
23 O 0.721 0.317 0.930
24 O 0.811 0.537 0.751

# Li4V5O9F

A relaxed structure of Li4V5O9F (PBE+U, Materials Project).

crystal system = triclinic
theoretical density = 3.82 g cm⁻³
relative energy among the computed polymorphs = 3 meV per atom

a = 5.234 Å, b = 5.186 Å, c = 8.028 Å
α = 71.24°, β = 70.63°, γ = 79.25°
Fractional positions:
1 Li 0.497 0.707 0.097
2 Li 0.494 0.094 0.314
3 Li 0.505 0.507 0.492
4 Li 0.517 0.316 0.899
5 V 0.000 0.996 0.006
6 V 0.000 0.395 0.198
7 V 0.991 0.195 0.597
8 V 0.990 0.795 0.404
9 V 0.992 0.617 0.800
10 O 0.227 0.046 0.151
11 O 0.223 0.441 0.362
12 O 0.211 0.844 0.552
13 O 0.214 0.645 0.962
14 O 0.776 0.356 0.035
15 O 0.777 0.159 0.432
16 O 0.769 0.748 0.250
17 O 0.783 0.533 0.652
18 O 0.784 0.968 0.849
19 F 0.241 0.260 0.753

# Li9Mn2Co5O16

A relaxed structure of Li9Mn2Co5O16 (PBE+U, Materials Project).

crystal system = monoclinic
theoretical density = 4.25 g cm⁻³
relative energy among the computed polymorphs = 36 meV per atom

a = 11.333 Å, b = 5.185 Å, c = 5.206 Å
α = 67.60°, β = 90.00°, γ = 90.00°
Fractional positions:
1 Li 0.123 0.500 0.000
2 Li 0.250 0.500 0.500
3 Li 0.377 0.500 0.000
4 Li 0.499 0.500 0.500
5 Li 0.626 0.500 0.000
6 Li 0.753 0.500 0.500
7 Li 0.873 0.500 0.000
8 Li 0.998 0.500 0.500
9 Li 0.874 0.000 0.500
10 Mn 0.998 0.000 0.000
11 Mn 0.251 0.000 0.000
12 Co 0.125 0.000 0.500
13 Co 0.376 0.000 0.500
14 Co 0.502 0.000 0.000
15 Co 0.625 0.000 0.500
16 Co 0.749 0.000 0.000
17 O 0.123 0.236 0.771
18 O 0.251 0.229 0.278
19 O 0.378 0.233 0.773
20 O 0.501 0.224 0.272
21 O 0.626 0.230 0.777
22 O 0.743 0.206 0.241
23 O 0.872 0.235 0.782
24 O 0.006 0.211 0.244
25 O 0.123 0.764 0.229
26 O 0.251 0.771 0.722
27 O 0.378 0.767 0.227
28 O 0.501 0.776 0.728
29 O 0.626 0.770 0.223
30 O 0.743 0.794 0.759
31 O 0.872 0.765 0.218
32 O 0.006 0.789 0.756

# Li2TiFeO4

A relaxed structure of Li2TiFeO4 (PBE+U, Materials Project).

crystal system = triclinic
theoretical density = 3.92 g cm⁻³
relative energy among the computed polymorphs = 4 meV per atom

a = 5.900 Å, b = 5.870 Å, c = 9.812 Å
α = 72.66°, β = 72.53°, γ = 90.08°
Fractional positions:
1 Li 0.121 0.124 0.250
2 Li 0.621 0.626 0.250
3 Li 0.371 0.876 0.750
4 Li 0.871 0.374 0.750
5 Li 0.259 0.748 0.498
6 Li 0.758 0.253 0.501
7 Li 0.512 0.501 0.999
8 Li 0.005 0.001 0.999
9 Ti 0.534 0.000 0.000
10 Ti 0.033 0.500 0.000
11 Ti 0.783 0.749 0.501
12 Ti 0.285 0.251 0.499
13 Fe 0.120 0.626 0.247
14 Fe 0.871 0.876 0.747
15 Fe 0.617 0.124 0.254
16 Fe 0.367 0.374 0.754
17 O 0.341 0.365 0.283
18 O 0.856 0.851 0.284
19 O 0.606 0.101 0.782
20 O 0.091 0.615 0.784
21 O 0.388 0.899 0.218
22 O 0.875 0.385 0.216
23 O 0.624 0.635 0.718
24 O 0.139 0.149 0.717
25 O 0.244 0.258 0.999
26 O 0.742 0.758 0.002
27 O 0.494 0.007 0.499
28 O 0.993 0.509 0.502
29 O 0.243 0.742 0.001
30 O 0.745 0.242 0.998
31 O 0.495 0.491 0.498
32 O 0.993 0.993 0.501

no.,ΔE_f (eV per atom),final energy (eV for the cell shown)
1,-2.359,-166.2
2,-2.509,-132.0
3,-1.828,-186.2
4,-2.566,-222.0